# 1
First-principles (GGA-PBE) data for CdIrRu after structural relaxation, as listed in the Materials Project. Values from VASP.

Properties
As for the formation energy: 643 meV per atom. The symmetry is No. 216. For the total magnetization, the calculation gives 0.0 μB per formula unit.

The structure in Quantum ESPRESSO input format:
```
&SYSTEM
  ibrav = 0, nat = 3, ntyp = 3
/
ATOMIC_SPECIES
Cd 112.41 Cd.upf
Ir 192.22 Ir.upf
Ru 101.07 Ru.upf
ATOMIC_POSITIONS crystal
Cd 0.000 0.000 0.000
Ir 0.500 0.500 0.500
Ru 0.750 0.750 0.750
CELL_PARAMETERS angstrom
0.000 3.042 3.042
3.042 0.000 3.042
3.042 3.042 0.000
```


# 2
First-principles (GGA-PBE) data for Sm4CdIr after structural relaxation, as listed in the Materials Project. Values from VASP.

Properties
As for the formation energy: -476 meV per atom. The symmetry is No. 216.

The structure in Quantum ESPRESSO input format:
```
&SYSTEM
  ibrav = 0, nat = 24, ntyp = 3
/
ATOMIC_SPECIES
Sm 150.36 Sm.upf
Cd 112.41 Cd.upf
Ir 192.22 Ir.upf
ATOMIC_POSITIONS crystal
Sm 0.187 0.187 0.813
Sm 0.187 0.813 0.187
Sm 0.187 0.813 0.813
Sm 0.402 0.402 0.402
Sm 0.402 0.402 0.795
Sm 0.402 0.795 0.402
Sm 0.561 0.561 0.939
Sm 0.561 0.939 0.561
Sm 0.561 0.939 0.939
Sm 0.795 0.402 0.402
Sm 0.813 0.187 0.187
Sm 0.813 0.187 0.813
Sm 0.813 0.813 0.187
Sm 0.939 0.561 0.561
Sm 0.939 0.561 0.939
Sm 0.939 0.939 0.561
Cd 0.169 0.169 0.169
Cd 0.169 0.169 0.492
Cd 0.169 0.492 0.169
Cd 0.492 0.169 0.169
Ir 0.175 0.608 0.608
Ir 0.608 0.175 0.608
Ir 0.608 0.608 0.175
Ir 0.608 0.608 0.608
CELL_PARAMETERS angstrom
0.000 6.956 6.956
6.956 0.000 6.956
6.956 6.956 0.000
```


# 3
First-principles (GGA-PBE) data for Tb4CdIr after structural relaxation, as listed in the Materials Project. Values from VASP.

Properties
As for the formation energy: -518 meV per atom. The symmetry is No. 216.

The structure in Quantum ESPRESSO input format:
```
&SYSTEM
  ibrav = 0, nat = 24, ntyp = 3
/
ATOMIC_SPECIES
Tb 158.93 Tb.upf
Cd 112.41 Cd.upf
Ir 192.22 Ir.upf
ATOMIC_POSITIONS crystal
Tb 0.187 0.187 0.813
Tb 0.187 0.813 0.187
Tb 0.187 0.813 0.813
Tb 0.401 0.401 0.401
Tb 0.401 0.401 0.797
Tb 0.401 0.797 0.401
Tb 0.561 0.561 0.939
Tb 0.561 0.939 0.561
Tb 0.561 0.939 0.939
Tb 0.797 0.401 0.401
Tb 0.813 0.187 0.187
Tb 0.813 0.187 0.813
Tb 0.813 0.813 0.187
Tb 0.939 0.561 0.561
Tb 0.939 0.561 0.939
Tb 0.939 0.939 0.561
Cd 0.169 0.169 0.169
Cd 0.169 0.169 0.494
Cd 0.169 0.494 0.169
Cd 0.494 0.169 0.169
Ir 0.176 0.608 0.608
Ir 0.608 0.176 0.608
Ir 0.608 0.608 0.176
Ir 0.608 0.608 0.608
CELL_PARAMETERS angstrom
0.000 6.855 6.855
6.855 0.000 6.855
6.855 6.855 0.000
```